Record 1
Computed, not measured: an optimized crystal structure of Ni4P2O9 at the PBE with a Hubbard U level of DFT.

The structure in POSCAR format:
```
Ni4P2O9
1.0
-1.4736 6.1260 -0.8721
-0.9858 -2.8544 -7.0298
-5.8794 -4.0602 3.7137
Ni P O
8 4 18
Direct
0.0777 0.8810 0.7330
0.6028 0.8894 0.7374
0.6379 0.6705 0.4372
0.8304 0.6008 0.9062
0.1696 0.3992 0.0938
0.3621 0.3295 0.5628
0.3972 0.1106 0.2626
0.9223 0.1190 0.2670
0.4819 0.7799 0.0747
0.1186 0.7411 0.3536
0.8814 0.2589 0.6464
0.5181 0.2201 0.9253
0.1442 0.9358 0.3154
0.6110 0.9584 0.2380
0.2306 0.7875 0.9581
0.3658 0.7229 0.4790
0.0094 0.5897 0.1726
0.6315 0.7756 0.9620
0.4734 0.6141 0.1673
0.9693 0.7194 0.4675
0.7772 0.7168 0.6992
0.2228 0.2832 0.3008
0.0307 0.2806 0.5325
0.5266 0.3859 0.8327
0.3685 0.2244 0.0380
0.9906 0.4103 0.8274
0.6342 0.2771 0.5210
0.7694 0.2125 0.0419
0.3890 0.0416 0.7620
0.8558 0.0642 0.6846
```

The calculated density is 4.25 g cm⁻³. As for the formation energy: -1927 meV per atom. As for the space group: P-1 (2). The magnetic moment comes out at 16.00 μB per cell.

***

Record 2
Computed, not measured: an optimized crystal structure of NiP2O7 at the PBE with a Hubbard U level of DFT.

The structure in POSCAR format:
```
NiP2O7
1.0
-7.9069 1.0257 -1.5604
0.9123 -0.3348 -4.8426
-0.5453 -6.8403 -1.7330
Ni P O
2 4 14
Direct
0.5057 0.7847 0.7253
0.0057 0.2153 0.2747
0.6838 0.3913 0.4842
0.1838 0.6087 0.5158
0.7749 0.7735 0.0995
0.2749 0.2265 0.9005
0.3585 0.7285 0.5077
0.3210 0.9666 0.8366
0.8210 0.0334 0.1634
0.1798 0.1334 0.0930
0.9261 0.5943 0.0862
0.6480 0.5861 0.2620
0.1804 0.4230 0.3765
0.8585 0.2715 0.4923
0.4261 0.4057 0.9138
0.0514 0.8351 0.4748
0.6798 0.8666 0.9070
0.6804 0.5770 0.6235
0.1480 0.4139 0.7380
0.5514 0.1649 0.5252
```

The calculated density is 2.84 g cm⁻³. As for the formation energy: -1871 meV per atom. As for the space group: P2_1 (4). The magnetic moment comes out at 0.00 μB per cell.